i:
{"formula": "NaSrPrSbO6", "functional": "PBE", "state": "relaxed", "cell": [[-0.540, 4.368, -7.268], [7.210, -3.701, -2.760], [-4.557, -6.304, -3.450]], "species": ["Na", "Na", "Na", "Na", "Sr", "Sr", "Sr", "Sr", "Pr", "Pr", "Pr", "Pr", "Sb", "Sb", "Sb", "Sb", "O", "O", "O", "O", "O", "O", "O", "O", "O", "O", "O", "O", "O", "O", "O", "O", "O", "O", "O", "O", "O", "O", "O", "O"], "frac_coords": [[0.000, 0.000, 0.000], [0.500, 0.500, 0.500], [0.000, 0.500, 0.500], [0.500, 0.000, 0.000], [0.500, 0.000, 0.500], [0.500, 0.500, 0.000], [0.000, 0.500, 0.000], [0.000, 0.000, 0.500], [0.750, 0.750, 0.750], [0.250, 0.250, 0.750], [0.250, 0.750, 0.250], [0.750, 0.250, 0.250], [0.250, 0.250, 0.250], [0.750, 0.750, 0.250], [0.750, 0.250, 0.750], [0.250, 0.750, 0.750], [0.022, 0.202, 0.278], [0.978, 0.798, 0.278], [0.978, 0.202, 0.722], [0.022, 0.798, 0.722], [0.294, 0.022, 0.214], [0.294, 0.978, 0.786], [0.706, 0.978, 0.214], [0.706, 0.022, 0.786], [0.217, 0.295, 0.020], [0.783, 0.295, 0.980], [0.217, 0.705, 0.980], [0.783, 0.705, 0.020], [0.478, 0.298, 0.222], [0.522, 0.702, 0.222], [0.522, 0.298, 0.778], [0.478, 0.702, 0.778], [0.206, 0.478, 0.286], [0.206, 0.522, 0.714], [0.794, 0.522, 0.286], [0.794, 0.478, 0.714], [0.283, 0.205, 0.480], [0.717, 0.205, 0.520], [0.283, 0.795, 0.520], [0.717, 0.795, 0.480]]}

ii:
{"formula": "NaSrPrSbO6", "functional": "PBE", "state": "relaxed", "cell": [[2.065, 4.554, -3.476], [-3.089, 5.239, -0.306], [2.262, 5.025, 2.592]], "species": ["Na", "Sr", "Pr", "Sb", "O", "O", "O", "O", "O", "O"], "frac_coords": [[0.750, 0.750, 0.750], [0.250, 0.250, 0.250], [0.000, 0.000, 0.000], [0.500, 0.500, 0.500], [0.731, 0.269, 0.269], [0.269, 0.731, 0.731], [0.731, 0.269, 0.731], [0.269, 0.731, 0.269], [0.731, 0.731, 0.269], [0.269, 0.269, 0.731]]}

Most stable pick: i. Distance to second place: 49 meV/atom.

i:
{"formula": "Na4PtO4", "functional": "PBE", "state": "relaxed", "cell": [[2.270, 5.371, 0.000], [-2.270, 5.371, 0.000], [0.000, 0.320, 9.965]], "species": ["Na", "Na", "Na", "Na", "Na", "Na", "Na", "Na", "Pt", "Pt", "O", "O", "O", "O", "O", "O", "O", "O"], "frac_coords": [[0.372, 0.372, 0.956], [0.628, 0.628, 0.044], [0.258, 0.258, 0.273], [0.927, 0.927, 0.177], [0.853, 0.853, 0.453], [0.147, 0.147, 0.547], [0.073, 0.073, 0.823], [0.742, 0.742, 0.727], [0.548, 0.548, 0.345], [0.452, 0.452, 0.655], [0.456, 0.456, 0.164], [0.056, 0.056, 0.342], [0.718, 0.718, 0.245], [0.618, 0.618, 0.536], [0.382, 0.382, 0.464], [0.282, 0.282, 0.755], [0.944, 0.944, 0.658], [0.544, 0.544, 0.836]]}

ii:
{"formula": "Na4PtO4", "functional": "PBE", "state": "relaxed", "cell": [[1.651, 5.488, 0.000], [-1.651, 5.488, 0.000], [0.000, 4.118, 6.832]], "species": ["Na", "Na", "Na", "Na", "Pt", "O", "O", "O", "O"], "frac_coords": [[0.207, 0.207, 0.674], [0.369, 0.369, 0.894], [0.793, 0.793, 0.326], [0.631, 0.631, 0.106], [0.000, 0.000, 0.500], [0.803, 0.803, 0.769], [0.197, 0.197, 0.231], [0.432, 0.432, 0.404], [0.568, 0.568, 0.596]]}

Most stable pick: ii. Distance to second place: 56 meV/atom.